Here is a geometry-optimized SmSi2Ir2 structure from the Materials Project database. Energies are from PBE.

It has space group I4/mmm (No. 139), with a = 4.2314 Å, b = 4.2314 Å, c = 9.9244 Å, α = 90.00°, β = 90.00° and γ = 90.00°. The asymmetric unit holds Sm at (0.0000, 0.0000, 0.0000), Si at (0.0000, 0.5000, 0.2500) and Ir at (0.0000, 0.0000, 0.3681).

Its formation enthalpy at 0 K is -86.8 kJ per mole of atoms. The mass density is 11.0 g cm⁻³. As for the final energy: -7.549 eV per atom.

=====

Here is a geometry-optimized SmSi2Ir2 structure from the Materials Project database. Energies are from PBE.

It has space group I4/mmm (No. 139), with a = 4.1062 Å, b = 4.1062 Å, c = 10.1068 Å, α = 90.00°, β = 90.00° and γ = 90.00°. The asymmetric unit holds Sm at (0.0000, 0.0000, 0.0000), Si at (0.0000, 0.0000, 0.3770) and Ir at (0.0000, 0.5000, 0.2500).

Its formation enthalpy at 0 K is -104.2 kJ per mole of atoms. The mass density is 11.5 g cm⁻³. As for the final energy: -7.729 eV per atom.

=====

Here is a geometry-optimized TbSiIr structure from the Materials Project database. Energies are from PBE.

It has space group Pnma (No. 62), with a = 6.9270 Å, b = 4.2660 Å, c = 7.4159 Å, α = 90.00°, β = 90.00° and γ = 90.00°. The asymmetric unit holds Tb at (0.0017, 0.2500, 0.1864), Si at (0.1999, 0.2500, 0.6080) and Ir at (0.1561, 0.7500, 0.4305).

Its formation enthalpy at 0 K is -101.3 kJ per mole of atoms. The mass density is 11.5 g cm⁻³. As for the final energy: -7.349 eV per atom.